1.
The following is a PBE-GGA calculation of a relaxed Zr6Ga2NiH10 crystal, from the Materials Project database.

POSCAR file:
```
Zr6Ga2NiH10
1.0
8.031 0.000 0.000
-4.016 6.955 0.000
0.000 0.000 7.227
Zr Ga Ni H
12 4 2 20
Cartesian
-2.955 5.118 0.000 Zr
-2.955 5.118 3.614 Zr
-1.319 2.918 1.807 Zr
1.061 1.838 0.000 Zr
1.061 1.838 3.614 Zr
-0.829 6.638 1.807 Zr
3.187 0.317 5.420 Zr
2.148 4.354 1.807 Zr
2.697 4.037 5.420 Zr
5.910 0.000 0.000 Zr
5.910 0.000 3.614 Zr
6.163 2.601 5.420 Zr
0.000 4.637 3.956 Ga
0.000 4.637 6.885 Ga
4.016 2.318 0.342 Ga
4.016 2.318 3.272 Ga
0.000 0.000 1.807 Ni
0.000 0.000 5.420 Ni
0.000 0.000 0.000 H
0.000 0.000 3.614 H
-1.114 1.930 0.000 H
-1.114 1.930 3.614 H
-1.940 4.908 1.807 H
-2.556 6.104 5.420 H
0.007 1.689 5.420 H
1.459 0.851 1.807 H
2.229 0.000 0.000 H
2.229 0.000 3.614 H
0.735 2.821 1.807 H
2.076 2.047 5.420 H
1.205 6.181 1.807 H
5.221 0.774 5.420 H
2.901 5.025 0.000 H
2.901 5.025 3.614 H
2.549 6.117 5.420 H
6.565 0.838 1.807 H
4.023 5.266 1.807 H
4.750 4.134 5.420 H
```

energy of formation from the pure elements: -13.01 kcal/mol of atoms
calculated total energy: -5.58 eV/atom
corrected total energy (MP2020 scheme): -5.6721 eV per atom
M_tot: 0.00 μB/atom

2.
The following is a PBE-GGA calculation of a relaxed GaH3O3 crystal, from the Materials Project database.

POSCAR file:
```
GaH3O3
1.0
5.317 3.070 2.145
-5.317 3.070 2.145
0.000 -6.139 2.145
Ga H O
4 12 12
Cartesian
0.000 0.000 0.000 Ga
-2.658 -1.535 2.145 Ga
-2.658 1.535 4.290 Ga
0.000 3.070 2.145 Ga
-0.967 -3.360 2.048 H
-1.641 0.707 1.731 H
0.209 -1.775 1.731 H
-2.426 2.518 2.048 H
-3.394 -0.842 4.387 H
1.433 1.068 1.731 H
-1.433 -1.068 4.704 H
3.394 0.842 2.048 H
2.427 -2.518 4.387 H
-0.209 1.775 4.704 H
1.641 -0.707 4.704 H
0.967 3.360 4.387 H
-1.669 -0.108 1.132 O
-0.916 -2.522 2.603 O
0.928 -1.391 1.132 O
-2.642 -0.467 3.832 O
0.741 1.500 1.132 O
-1.726 2.055 2.603 O
1.726 -2.055 3.832 O
-0.741 -1.500 5.303 O
2.642 0.467 2.603 O
-0.928 1.391 5.303 O
0.916 2.522 3.832 O
1.669 0.108 5.303 O
```

energy of formation from the pure elements: -37.39 kcal/mol of atoms
calculated total energy: -5.33 eV/atom
corrected total energy (MP2020 scheme): -5.6287 eV per atom

3.
The following is a PBE-GGA calculation of a relaxed GaP2H11O12 crystal, from the Materials Project database.

POSCAR file:
```
GaP2H11O12
1.0
7.620 0.000 0.000
0.000 7.574 0.000
-2.359 0.000 8.251
Ga P H O
2 4 22 24
Cartesian
0.000 0.000 0.000 Ga
-1.179 3.787 4.126 Ga
0.537 1.183 3.014 P
-0.642 2.604 7.140 P
5.904 4.970 1.112 P
4.724 6.391 5.237 P
-1.179 0.000 4.126 H
0.000 3.787 0.000 H
-0.841 5.471 7.842 H
0.338 5.891 3.716 H
1.183 4.593 3.225 H
0.004 6.769 7.351 H
1.229 0.120 5.631 H
2.408 3.667 1.505 H
1.160 1.460 7.432 H
2.339 2.327 3.306 H
2.968 0.376 1.574 H
1.789 3.411 5.700 H
3.472 4.163 2.552 H
2.293 7.199 6.677 H
2.922 5.247 4.945 H
4.101 6.115 0.819 H
2.853 3.908 6.746 H
4.032 7.454 2.620 H
5.258 0.805 0.900 H
4.078 2.982 5.026 H
4.924 1.683 4.535 H
6.103 2.104 0.410 H
-1.598 1.415 7.129 O
-0.419 2.372 3.003 O
0.001 0.009 3.886 O
-1.178 3.778 8.012 O
0.919 0.752 1.593 O
-0.260 3.035 5.718 O
0.483 4.916 3.853 O
-0.697 6.446 7.978 O
1.914 1.530 3.742 O
0.735 2.257 7.867 O
2.561 3.798 2.466 O
1.381 7.563 6.592 O
3.880 0.011 1.660 O
2.701 3.776 5.785 O
4.526 5.318 0.384 O
3.347 6.044 4.509 O
5.958 1.128 0.273 O
4.779 2.659 4.398 O
5.521 4.540 2.533 O
4.342 6.822 6.658 O
6.440 3.797 0.240 O
5.260 7.565 4.365 O
5.680 5.202 5.248 O
6.859 6.159 1.122 O
```

energy of formation from the pure elements: -40.44 kcal/mol of atoms
calculated total energy: -5.69 eV/atom
corrected total energy (MP2020 scheme): -6.0055 eV per atom
M_tot: 0.00 μB/atom

4.
The following is a PBE-GGA calculation of a relaxed Ga2P3H3O9 crystal, from the Materials Project database.

POSCAR file:
```
Ga2P3H3O9
1.0
8.065 0.000 0.000
-4.032 6.984 0.000
0.000 0.000 7.361
Ga P H O
4 6 6 18
Cartesian
0.000 4.656 0.364 Ga
0.000 4.656 3.317 Ga
4.032 2.328 4.044 Ga
4.032 2.328 6.998 Ga
-2.393 4.815 5.521 P
1.059 2.504 5.521 P
2.698 0.335 1.840 P
1.334 6.649 5.521 P
2.974 4.480 1.840 P
6.425 2.169 1.840 P
-0.563 1.269 1.840 H
-2.651 6.838 1.840 H
0.818 1.123 5.521 H
3.215 5.862 1.840 H
6.684 0.147 5.521 H
4.596 5.715 5.521 H
-1.032 3.613 1.840 O
-1.626 5.092 4.230 O
-1.626 5.092 6.812 O
0.436 3.030 4.230 O
0.436 3.030 6.812 O
-0.387 6.071 1.840 O
2.842 1.138 0.550 O
2.842 1.138 3.131 O
1.419 4.284 1.840 O
2.613 2.700 5.521 O
1.190 5.847 4.230 O
1.190 5.847 6.812 O
4.420 0.913 5.521 O
3.597 3.954 0.550 O
3.597 3.954 3.131 O
5.659 1.892 0.550 O
5.659 1.892 3.131 O
5.064 3.371 5.521 O
```

energy of formation from the pure elements: -47.01 kcal/mol of atoms
calculated total energy: -6.20 eV/atom
corrected total energy (MP2020 scheme): -6.5685 eV per atom
M_tot: 0.00 μB/atom

5.
The following is a PBE-GGA calculation of a relaxed GaPH4O6 crystal, from the Materials Project database.

POSCAR file:
```
GaPH4O6
1.0
8.689 0.000 0.000
0.000 9.835 0.000
0.000 0.000 10.134
Ga P H O
8 8 32 48
Cartesian
1.321 1.685 1.342 Ga
1.321 3.232 6.409 Ga
3.024 6.602 1.342 Ga
3.024 8.149 6.409 Ga
5.665 1.685 3.726 Ga
5.665 3.232 8.793 Ga
7.369 6.602 3.726 Ga
7.369 8.149 8.793 Ga
0.260 6.335 6.575 P
0.260 8.417 1.508 P
4.084 1.418 6.575 P
4.084 3.500 1.508 P
4.605 6.335 8.627 P
4.605 8.417 3.560 P
8.429 1.418 8.627 P
8.429 3.500 3.560 P
1.264 5.633 9.800 H
1.264 9.118 4.733 H
1.415 5.721 3.269 H
1.415 9.031 8.336 H
1.653 1.720 3.820 H
1.653 3.198 8.887 H
1.795 0.407 5.778 H
1.795 4.510 0.711 H
2.550 5.325 5.778 H
2.550 9.427 0.711 H
2.692 6.637 3.820 H
2.692 8.115 8.887 H
2.930 0.804 3.269 H
2.930 4.114 8.336 H
3.080 0.716 9.800 H
3.080 4.201 4.733 H
5.609 5.633 5.401 H
5.609 9.118 0.334 H
5.759 5.721 1.798 H
5.759 9.031 6.866 H
5.997 1.720 1.247 H
5.997 3.198 6.315 H
6.139 0.407 9.424 H
6.139 4.510 4.356 H
6.894 5.325 9.424 H
6.894 9.427 4.356 H
7.036 6.637 1.247 H
7.036 8.115 6.315 H
7.275 0.804 1.798 H
7.275 4.114 6.866 H
7.425 0.716 5.401 H
7.425 4.201 0.334 H
0.033 2.003 7.229 O
0.033 2.914 2.162 O
0.055 0.124 1.468 O
0.055 4.794 6.536 O
0.717 2.088 9.647 O
0.717 2.830 4.580 O
1.488 5.471 0.605 O
1.488 9.280 5.672 O
1.747 6.613 6.195 O
1.747 8.139 1.127 O
1.967 1.058 3.131 O
1.967 3.859 8.198 O
2.377 5.976 3.131 O
2.377 8.776 8.198 O
2.597 1.696 6.195 O
2.597 3.222 1.127 O
2.857 0.554 0.605 O
2.857 4.363 5.672 O
3.627 7.005 9.647 O
3.627 7.747 4.580 O
4.290 5.041 1.468 O
4.290 9.711 6.536 O
4.312 6.920 7.229 O
4.312 7.832 2.162 O
4.378 2.003 7.973 O
4.378 2.914 2.906 O
4.399 0.124 3.599 O
4.399 4.794 8.666 O
5.062 2.088 5.554 O
5.062 2.830 0.487 O
5.832 5.471 4.462 O
5.832 9.280 9.530 O
6.092 6.613 9.007 O
6.092 8.139 3.940 O
6.312 1.058 1.937 O
6.312 3.859 7.004 O
6.722 5.976 1.937 O
6.722 8.776 7.004 O
6.942 1.696 9.007 O
6.942 3.222 3.940 O
7.201 0.554 4.462 O
7.201 4.363 9.530 O
7.972 7.005 5.554 O
7.972 7.747 0.487 O
8.634 5.041 3.599 O
8.634 9.711 8.666 O
8.656 6.920 7.973 O
8.656 7.832 2.906 O
```

energy of formation from the pure elements: -44.15 kcal/mol of atoms
calculated total energy: -5.88 eV/atom
corrected total energy (MP2020 scheme): -6.2227 eV per atom
M_tot: 0.00 μB/atom

6.
The following is a PBE-GGA calculation of a relaxed RbGa2P2H5O11 crystal, from the Materials Project database.

POSCAR file:
```
RbGa2P2H5O11
1.0
9.765 0.000 0.000
0.000 9.745 0.000
-7.651 0.000 9.617
Rb Ga P H O
4 8 8 20 44
Cartesian
0.376 1.891 0.968 Rb
-3.449 2.982 5.776 Rb
5.563 6.763 3.840 Rb
1.738 7.854 8.649 Rb
-4.111 7.094 7.839 Ga
-0.285 7.524 3.030 Ga
-1.953 0.438 8.375 Ga
1.872 4.434 3.567 Ga
0.242 5.311 6.050 Ga
4.067 9.307 1.241 Ga
2.400 2.222 6.586 Ga
6.225 2.651 1.778 Ga
-5.082 0.264 8.175 P
-1.257 4.608 3.367 P
2.329 6.655 1.271 P
-1.497 7.963 6.079 P
3.611 1.782 3.538 P
-0.214 3.090 8.346 P
3.371 5.137 6.250 P
7.196 9.481 1.442 P
-1.458 1.319 3.646 H
-5.284 3.553 8.454 H
-1.136 0.803 5.117 H
2.689 4.069 0.309 H
0.300 0.232 3.796 H
-3.525 4.641 8.605 H
-2.099 5.134 7.918 H
1.726 9.484 3.110 H
4.245 1.985 0.211 H
0.419 2.887 5.019 H
1.695 6.858 4.598 H
-2.130 7.760 9.406 H
0.388 0.261 6.507 H
4.213 4.612 1.698 H
5.639 5.104 1.012 H
1.814 9.513 5.820 H
-0.575 5.676 9.308 H
3.250 8.942 4.499 H
7.398 6.192 1.162 H
3.573 8.426 5.971 H
-5.211 6.045 6.576 O
-1.386 8.572 1.767 O
-1.485 6.003 2.690 O
-5.310 8.615 7.498 O
0.882 7.103 1.544 O
-2.944 7.515 6.353 O
-5.173 6.508 9.362 O
-1.348 8.110 4.554 O
-3.732 0.857 7.680 O
0.093 4.016 2.871 O
2.566 0.087 0.114 O
-1.259 4.786 4.922 O
-0.793 1.367 4.386 O
-4.618 3.506 9.194 O
-3.028 5.396 8.163 O
0.798 9.222 3.354 O
2.591 5.230 1.901 O
-1.234 9.387 6.710 O
0.974 6.272 4.257 O
-2.852 8.345 9.066 O
-1.265 2.136 7.727 O
2.560 2.737 2.919 O
-0.446 7.008 6.698 O
3.379 7.609 1.890 O
4.966 1.400 0.551 O
1.140 3.473 5.359 O
3.349 0.358 2.907 O
-0.477 4.515 7.715 O
1.316 0.523 6.262 O
5.142 4.350 1.454 O
6.732 6.239 0.422 O
2.907 8.379 5.231 O
3.373 4.959 4.695 O
-0.452 9.659 9.503 O
2.021 5.729 6.745 O
5.847 8.888 1.937 O
3.462 1.635 5.063 O
7.287 3.237 0.254 O
5.058 2.230 3.264 O
1.233 2.643 8.072 O
7.424 1.130 2.118 O
3.599 3.743 6.927 O
3.500 1.173 7.849 O
7.325 3.700 3.041 O
```

energy of formation from the pure elements: -48.85 kcal/mol of atoms
calculated total energy: -6.01 eV/atom
corrected total energy (MP2020 scheme): -6.3687 eV per atom
M_tot: 0.00 μB/atom

7.
The following is a PBE-GGA calculation of a relaxed Rb3GaP6H6O18 crystal, from the Materials Project database.

POSCAR file:
```
Rb3GaP6H6O18
1.0
8.033 4.638 2.755
-8.033 4.638 2.755
0.000 -9.275 2.755
Rb Ga P H O
3 1 6 6 18
Cartesian
-4.016 -2.319 2.755 Rb
-4.016 2.319 5.510 Rb
0.000 4.638 2.755 Rb
0.000 0.000 4.133 Ga
-0.197 -2.492 2.021 P
-2.059 1.417 2.021 P
2.256 1.075 2.021 P
-2.256 -1.075 6.244 P
2.059 -1.417 6.244 P
0.197 2.492 6.244 P
-1.802 0.458 1.011 H
0.505 -1.790 1.011 H
1.298 1.332 1.011 H
-1.298 -1.332 7.254 H
-0.505 1.790 7.254 H
1.802 -0.458 7.254 H
-6.653 -1.408 4.117 O
-2.107 -6.465 4.148 O
-3.387 1.070 2.706 O
0.767 -3.468 2.706 O
-0.746 -1.460 3.024 O
-0.891 1.376 3.024 O
-4.546 5.057 4.148 O
-2.620 -2.398 5.559 O
1.637 0.083 3.024 O
-1.637 -0.083 5.241 O
2.620 2.398 2.706 O
4.546 -5.057 4.117 O
0.891 -1.376 5.241 O
0.746 1.460 5.241 O
-0.767 3.468 5.559 O
3.387 -1.070 5.559 O
2.107 6.466 4.117 O
6.653 1.408 4.148 O
```

energy of formation from the pure elements: -39.31 kcal/mol of atoms
calculated total energy: -5.69 eV/atom
corrected total energy (MP2020 scheme): -6.0539 eV per atom
M_tot: 0.18 μB/atom

8.
The following is a PBE-GGA calculation of a relaxed GaHSeO4 crystal, from the Materials Project database.

POSCAR file:
```
GaHSeO4
1.0
12.018 0.000 0.000
0.000 6.162 0.000
0.000 0.000 4.547
Ga H Se O
4 4 4 16
Cartesian
0.000 0.000 0.000 Ga
0.000 3.081 0.000 Ga
6.009 0.000 2.273 Ga
6.009 3.081 2.273 Ga
1.020 1.541 1.771 H
4.989 4.622 4.044 H
7.029 1.541 0.502 H
10.999 4.622 2.775 H
2.031 4.622 2.368 Se
3.978 1.541 0.095 Se
8.040 4.622 4.452 Se
9.987 1.541 2.178 Se
0.671 4.622 1.166 O
0.964 1.541 0.792 O
1.579 3.255 3.296 O
1.579 5.989 3.296 O
4.430 0.173 1.023 O
4.430 2.908 1.023 O
5.045 4.622 3.065 O
5.338 1.541 3.439 O
6.680 4.622 1.108 O
6.973 1.541 1.481 O
7.588 3.255 3.524 O
7.588 5.989 3.524 O
10.439 0.173 1.251 O
10.439 2.908 1.251 O
11.054 4.622 3.755 O
11.347 1.541 3.381 O
```

energy of formation from the pure elements: -37.09 kcal/mol of atoms
calculated total energy: -5.46 eV/atom
corrected total energy (MP2020 scheme): -5.8524 eV per atom